Entry 1:
VASP calculation (GGA-PBE) on an optimized crystal structure of Pb3I2O12. Values from VASP.

Density (g/cm³): 6.8
VASP energy (eV for the cell shown): -326.60

Cell and atoms, written as Quantum ESPRESSO input:
```
&SYSTEM
  ibrav = 0, nat = 68, ntyp = 3
/
ATOMIC_SPECIES
O 16.00 O.upf
Pb 207.20 Pb.upf
I 126.90 I.upf
CELL_PARAMETERS angstrom
9.375 0.000 -1.587
0.000 8.813 0.000
0.158 0.000 12.586
ATOMIC_POSITIONS crystal
O 0.894 0.093 0.353
O 0.560 0.701 0.000
O 0.644 0.572 0.384
Pb 0.142 0.137 0.143
O 0.187 0.136 0.332
Pb 0.642 0.652 0.635
O 0.322 0.355 0.179
I 0.016 0.254 0.358
Pb 0.268 0.542 0.017
O 0.678 0.645 0.821
O 0.857 0.576 0.616
Pb 0.142 0.363 0.643
O 0.370 0.593 0.378
O 0.071 0.296 0.010
O 0.630 0.093 0.122
Pb 0.358 0.152 0.865
I 0.984 0.754 0.142
O 0.187 0.364 0.832
O 0.894 0.407 0.853
O 0.016 0.722 0.795
O 0.106 0.907 0.647
O 0.617 0.109 0.659
O 0.560 0.799 0.500
O 0.440 0.201 0.500
O 0.870 0.107 0.881
O 0.016 0.778 0.295
Pb 0.732 0.042 0.483
Pb 0.358 0.348 0.365
O 0.383 0.609 0.841
O 0.482 0.801 0.696
O 0.929 0.704 0.990
O 0.482 0.699 0.196
O 0.106 0.593 0.147
O 0.071 0.204 0.510
O 0.143 0.076 0.884
O 0.678 0.855 0.321
O 0.322 0.145 0.679
Pb 0.858 0.863 0.857
O 0.356 0.072 0.116
O 0.984 0.278 0.205
O 0.813 0.636 0.168
I 0.492 0.235 0.152
I 0.016 0.246 0.858
Pb 0.858 0.637 0.357
O 0.630 0.407 0.622
O 0.130 0.893 0.119
O 0.617 0.391 0.159
I 0.492 0.265 0.652
O 0.518 0.301 0.804
O 0.130 0.607 0.619
O 0.857 0.924 0.116
O 0.370 0.907 0.878
Pb 0.642 0.848 0.135
I 0.508 0.765 0.848
I 0.984 0.746 0.642
Pb 0.268 0.958 0.517
O 0.813 0.864 0.668
O 0.984 0.222 0.705
O 0.383 0.891 0.341
O 0.870 0.393 0.381
Pb 0.732 0.458 0.983
O 0.356 0.428 0.616
O 0.518 0.199 0.304
I 0.508 0.735 0.348
O 0.143 0.424 0.384
O 0.929 0.796 0.490
O 0.440 0.299 0.000
O 0.644 0.928 0.884
```

Entry 2:
VASP calculation (GGA-PBE) on an optimized crystal structure of PbI2O6. Values from VASP.

Density (g/cm³): 6.2
Energy above the most stable polymorph in this dataset (eV/f.u.): 0.000
VASP energy (eV for the cell shown): -167.15

Cell and atoms, written as Quantum ESPRESSO input:
```
&SYSTEM
  ibrav = 0, nat = 36, ntyp = 3
/
ATOMIC_SPECIES
O 16.00 O.upf
I 126.90 I.upf
Pb 207.20 Pb.upf
CELL_PARAMETERS angstrom
-5.418 1.507 -0.425
-1.276 -3.131 5.168
3.164 13.977 9.249
ATOMIC_POSITIONS crystal
O 0.103 0.398 0.570
O 0.909 0.423 0.113
O 0.091 0.577 0.887
O 0.999 0.152 0.708
I 0.245 0.201 0.338
I 0.745 0.201 0.162
O 0.499 0.348 0.208
Pb 0.762 0.250 0.500
Pb 0.262 0.250 0.000
O 0.591 0.923 0.387
O 0.409 0.423 0.387
O 0.397 0.602 0.070
O 0.591 0.577 0.613
O 0.501 0.848 0.208
Pb 0.738 0.750 0.000
I 0.245 0.299 0.662
O 0.897 0.898 0.570
O 0.409 0.077 0.613
I 0.745 0.299 0.838
O 0.999 0.348 0.292
O 0.603 0.398 0.930
O 0.397 0.898 0.930
O 0.603 0.102 0.070
Pb 0.238 0.750 0.500
O 0.499 0.152 0.792
I 0.255 0.701 0.162
O 0.091 0.923 0.113
O 0.103 0.102 0.430
O 0.501 0.652 0.792
O 0.897 0.602 0.430
I 0.755 0.799 0.662
I 0.755 0.701 0.338
O 0.909 0.077 0.887
O 0.001 0.652 0.708
I 0.255 0.799 0.838
O 0.001 0.848 0.292
```

Entry 3:
VASP calculation (GGA-PBE) on an optimized crystal structure of PbI2O6. Values from VASP.

Density (g/cm³): 6.1
Energy above the most stable polymorph in this dataset (eV/f.u.): 0.039
VASP energy (eV for the cell shown): -167.00

Cell and atoms, written as Quantum ESPRESSO input:
```
&SYSTEM
  ibrav = 0, nat = 36, ntyp = 3
/
ATOMIC_SPECIES
I 126.90 I.upf
O 16.00 O.upf
Pb 207.20 Pb.upf
CELL_PARAMETERS angstrom
-3.099 -0.721 -6.313
-1.629 -6.718 -2.029
-12.375 0.340 5.075
ATOMIC_POSITIONS crystal
I 0.675 0.495 0.883
O 0.097 0.069 0.330
I 0.328 0.145 0.874
I 0.672 0.855 0.126
O 0.263 0.058 0.518
O 0.903 0.931 0.670
O 0.273 0.093 0.750
I 0.333 0.607 0.616
O 0.674 0.695 0.647
O 0.737 0.942 0.482
O 0.073 0.502 0.162
I 0.341 0.044 0.384
O 0.581 0.909 0.891
O 0.274 0.761 0.158
Pb 0.036 0.672 0.372
O 0.419 0.091 0.109
O 0.855 0.469 0.439
O 0.423 0.634 0.409
Pb 0.974 0.850 0.869
O 0.727 0.907 0.250
O 0.842 0.946 0.050
O 0.702 0.444 0.251
O 0.726 0.239 0.842
I 0.325 0.505 0.117
I 0.667 0.393 0.384
O 0.158 0.054 0.950
O 0.723 0.452 0.019
O 0.577 0.366 0.591
O 0.326 0.305 0.353
Pb 0.964 0.328 0.628
O 0.927 0.498 0.838
O 0.277 0.548 0.981
O 0.298 0.556 0.749
I 0.659 0.956 0.616
O 0.145 0.531 0.561
Pb 0.026 0.150 0.131
```

Entry 4:
VASP calculation (GGA-PBE) on an optimized crystal structure of PbIO. Values from VASP.

Density (g/cm³): 6.9
VASP energy (eV for the cell shown): -47.30

Cell and atoms, written as Quantum ESPRESSO input:
```
&SYSTEM
  ibrav = 0, nat = 12, ntyp = 3
/
ATOMIC_SPECIES
Pb 207.20 Pb.upf
I 126.90 I.upf
O 16.00 O.upf
CELL_PARAMETERS angstrom
-1.691 -1.400 2.844
7.134 -0.277 4.105
-1.913 10.503 4.031
ATOMIC_POSITIONS crystal
Pb 0.250 0.160 0.932
I 0.750 0.526 0.830
O 0.750 0.619 0.455
I 0.250 0.974 0.330
Pb 0.250 0.660 0.568
O 0.250 0.381 0.545
Pb 0.750 0.840 0.068
O 0.250 0.881 0.955
O 0.750 0.119 0.045
I 0.750 0.026 0.670
Pb 0.750 0.340 0.432
I 0.250 0.474 0.170
```

Entry 5:
VASP calculation (GGA-PBE) on an optimized crystal structure of RbPbI3O2. Values from VASP.

Density (g/cm³): 4.4
VASP energy (eV for the cell shown): -96.69

Cell and atoms, written as Quantum ESPRESSO input:
```
&SYSTEM
  ibrav = 0, nat = 28, ntyp = 4
/
ATOMIC_SPECIES
O 16.00 O.upf
I 126.90 I.upf
Pb 207.20 Pb.upf
Rb 85.47 Rb.upf
CELL_PARAMETERS angstrom
4.933 0.000 0.000
0.000 9.878 0.000
0.000 0.000 21.987
ATOMIC_POSITIONS crystal
O 0.250 0.055 0.901
I 0.750 0.838 0.552
O 0.250 0.017 0.955
I 0.750 0.746 0.873
O 0.250 0.555 0.599
O 0.750 0.483 0.455
I 0.250 0.162 0.448
Pb 0.250 0.547 0.906
Rb 0.750 0.622 0.697
I 0.750 0.593 0.223
I 0.250 0.907 0.723
Rb 0.750 0.122 0.803
I 0.250 0.754 0.373
I 0.750 0.246 0.627
O 0.250 0.517 0.545
I 0.750 0.093 0.277
I 0.250 0.407 0.777
I 0.250 0.662 0.052
O 0.750 0.945 0.099
Rb 0.250 0.378 0.303
Rb 0.250 0.878 0.197
O 0.750 0.983 0.045
Pb 0.750 0.953 0.406
Pb 0.250 0.047 0.594
Pb 0.750 0.453 0.094
O 0.750 0.445 0.401
I 0.250 0.254 0.127
I 0.750 0.338 0.948
```

Entry 6:
VASP calculation (GGA-PBE) on an optimized crystal structure of SrPb2I6O7. Values from VASP.

Density (g/cm³): 5.3
VASP energy (eV for the cell shown): -107.31

Cell and atoms, written as Quantum ESPRESSO input:
```
&SYSTEM
  ibrav = 0, nat = 32, ntyp = 4
/
ATOMIC_SPECIES
I 126.90 I.upf
O 16.00 O.upf
Pb 207.20 Pb.upf
Sr 87.62 Sr.upf
CELL_PARAMETERS angstrom
9.540 1.840 -3.914
-3.824 9.745 0.349
0.036 -4.924 9.245
ATOMIC_POSITIONS crystal
I 0.678 0.678 0.000
I 0.202 0.798 0.000
O 0.005 0.222 0.216
O 0.778 0.995 0.784
O 0.745 0.028 0.284
O 0.250 0.750 0.500
I 0.952 0.048 0.500
Pb 0.375 0.125 0.750
I 0.428 0.928 0.500
Pb 0.375 0.625 0.750
Sr 0.750 0.250 0.500
O 0.211 0.995 0.216
O 0.500 0.500 0.000
O 0.569 0.069 0.500
Pb 0.875 0.625 0.250
O 0.819 0.819 0.000
I 0.548 0.048 0.095
O 0.972 0.255 0.716
I 0.072 0.572 0.500
O 0.181 0.181 0.000
O 0.539 0.255 0.284
O 0.005 0.789 0.784
Sr 0.000 0.000 0.000
I 0.548 0.452 0.500
I 0.952 0.452 0.905
I 0.798 0.202 0.000
O 0.745 0.461 0.716
I 0.322 0.322 0.000
I 0.798 0.798 0.595
Pb 0.375 0.625 0.250
I 0.202 0.202 0.405
O 0.931 0.431 0.500
```

Entry 7:
VASP calculation (GGA-PBE) on an optimized crystal structure of U2PbI2O13. Values from VASP.

Density (g/cm³): 6.4
VASP energy (eV for the cell shown): -482.64

Cell and atoms, written as Quantum ESPRESSO input:
```
&SYSTEM
  ibrav = 0, nat = 72, ntyp = 4
/
ATOMIC_SPECIES
O 16.00 O.upf
U 238.03 U.upf
Pb 207.20 Pb.upf
I 126.90 I.upf
CELL_PARAMETERS angstrom
3.265 0.659 6.123
5.988 -4.535 -2.705
7.547 19.466 -6.120
ATOMIC_POSITIONS crystal
O 0.583 0.691 0.022
O 0.119 0.451 0.804
O 0.932 0.782 0.968
O 0.481 0.976 0.262
O 0.452 0.409 0.432
O 0.142 0.916 0.093
U 0.174 0.389 0.375
O 0.011 0.431 0.292
Pb 0.375 0.878 0.366
O 0.716 0.844 0.149
O 0.068 0.218 0.032
U 0.306 0.526 0.720
O 0.981 0.024 0.238
O 0.851 0.381 0.595
Pb 0.625 0.122 0.634
Pb 0.125 0.878 0.866
O 0.519 0.024 0.738
O 0.351 0.619 0.905
O 0.189 0.617 0.612
O 0.149 0.619 0.405
O 0.548 0.591 0.568
O 0.649 0.381 0.095
Pb 0.875 0.122 0.134
I 0.172 0.702 0.050
I 0.676 0.837 0.971
O 0.814 0.253 0.737
O 0.989 0.569 0.708
U 0.326 0.389 0.875
O 0.784 0.844 0.649
O 0.568 0.782 0.468
O 0.083 0.309 0.478
I 0.176 0.163 0.529
O 0.358 0.916 0.593
O 0.181 0.967 0.472
O 0.689 0.383 0.888
O 0.186 0.747 0.263
O 0.303 0.310 0.674
O 0.952 0.591 0.068
O 0.314 0.747 0.763
O 0.284 0.156 0.851
O 0.311 0.617 0.112
U 0.806 0.474 0.780
O 0.819 0.033 0.528
O 0.319 0.967 0.972
O 0.417 0.309 0.978
O 0.803 0.690 0.826
O 0.619 0.549 0.696
U 0.694 0.474 0.280
U 0.674 0.611 0.125
O 0.048 0.409 0.932
O 0.197 0.310 0.174
O 0.686 0.253 0.237
O 0.489 0.431 0.792
O 0.917 0.691 0.522
O 0.858 0.084 0.907
O 0.697 0.690 0.326
O 0.216 0.156 0.351
O 0.811 0.383 0.388
O 0.019 0.976 0.762
U 0.194 0.526 0.220
I 0.672 0.298 0.450
O 0.381 0.451 0.304
I 0.824 0.837 0.471
I 0.328 0.702 0.550
O 0.681 0.033 0.028
O 0.881 0.549 0.196
O 0.511 0.569 0.208
I 0.828 0.298 0.950
O 0.432 0.218 0.532
O 0.642 0.084 0.407
U 0.826 0.611 0.625
I 0.324 0.163 0.029
```

Entry 8:
VASP calculation (GGA-PBE) on an optimized crystal structure of PrIO. Values from VASP.

Density (g/cm³): 5.6
VASP energy (eV for the cell shown): -38.52

Cell and atoms, written as Quantum ESPRESSO input:
```
&SYSTEM
  ibrav = 0, nat = 6, ntyp = 3
/
ATOMIC_SPECIES
O 16.00 O.upf
I 126.90 I.upf
Pr 140.91 Pr.upf
CELL_PARAMETERS angstrom
4.125 0.000 0.000
0.000 4.125 0.000
0.000 0.000 9.890
ATOMIC_POSITIONS crystal
O 0.000 0.000 0.000
I 0.500 0.000 0.686
Pr 0.500 0.000 0.119
I 0.000 0.500 0.314
Pr 0.000 0.500 0.881
O 0.500 0.500 0.000
```

Entry 9:
VASP calculation (GGA-PBE) on an optimized crystal structure of PrI3O10. Values from VASP.

Density (g/cm³): 4.6
VASP energy (eV for the cell shown): -138.54

Cell and atoms, written as Quantum ESPRESSO input:
```
&SYSTEM
  ibrav = 0, nat = 28, ntyp = 3
/
ATOMIC_SPECIES
O 16.00 O.upf
I 126.90 I.upf
Pr 140.91 Pr.upf
CELL_PARAMETERS angstrom
6.739 0.000 0.000
0.000 7.552 0.000
0.000 3.554 9.664
ATOMIC_POSITIONS crystal
O 0.027 0.743 0.602
I 0.892 0.166 0.962
O 0.004 0.045 0.853
O 0.761 0.036 0.609
O 0.582 0.903 0.901
O 0.703 0.717 0.411
O 0.203 0.283 0.589
O 0.228 0.698 0.850
O 0.728 0.302 0.150
O 0.421 0.348 0.935
O 0.574 0.655 0.719
I 0.999 0.887 0.419
O 0.082 0.097 0.099
O 0.012 0.698 0.343
O 0.512 0.302 0.657
I 0.499 0.113 0.581
O 0.074 0.345 0.281
O 0.463 0.591 0.138
I 0.340 0.529 0.776
O 0.504 0.955 0.147
I 0.392 0.834 0.038
O 0.527 0.257 0.398
Pr 0.865 0.761 0.812
O 0.261 0.964 0.391
I 0.840 0.471 0.224
Pr 0.365 0.239 0.188
O 0.963 0.409 0.862
O 0.921 0.652 0.065
```

Entry 10:
VASP calculation (GGA-PBE) on an optimized crystal structure of PrI3O9. Values from VASP.

Density (g/cm³): 5.2
Energy above the most stable polymorph in this dataset (eV/f.u.): 0.000
VASP energy (eV for the cell shown): -267.60

Cell and atoms, written as Quantum ESPRESSO input:
```
&SYSTEM
  ibrav = 0, nat = 52, ntyp = 3
/
ATOMIC_SPECIES
O 16.00 O.upf
I 126.90 I.upf
Pr 140.91 Pr.upf
CELL_PARAMETERS angstrom
-1.579 -5.088 -2.880
-3.176 -3.366 7.689
-16.458 3.385 3.041
ATOMIC_POSITIONS crystal
O 0.817 0.657 0.255
O 0.683 0.657 0.755
O 0.409 0.091 0.042
I 0.813 0.931 0.351
O 0.393 0.905 0.671
O 0.107 0.905 0.171
O 0.001 0.630 0.631
I 0.687 0.931 0.851
O 0.549 0.937 0.204
Pr 0.768 0.861 0.100
I 0.590 0.416 0.198
I 0.187 0.069 0.649
I 0.090 0.584 0.302
Pr 0.732 0.861 0.600
O 0.909 0.909 0.458
O 0.913 0.641 0.947
Pr 0.268 0.139 0.400
O 0.033 0.403 0.880
O 0.587 0.641 0.447
O 0.599 0.135 0.509
O 0.999 0.370 0.369
O 0.901 0.135 0.009
O 0.087 0.668 0.383
O 0.401 0.865 0.491
O 0.087 0.359 0.053
I 0.864 0.360 0.977
O 0.607 0.095 0.329
I 0.410 0.584 0.802
O 0.451 0.063 0.796
O 0.533 0.597 0.620
O 0.499 0.630 0.131
O 0.091 0.091 0.542
O 0.099 0.865 0.991
O 0.413 0.359 0.553
I 0.136 0.640 0.023
O 0.951 0.937 0.704
I 0.364 0.640 0.523
I 0.636 0.360 0.477
Pr 0.232 0.139 0.900
O 0.317 0.343 0.245
O 0.183 0.343 0.745
I 0.910 0.416 0.698
O 0.591 0.909 0.958
O 0.913 0.332 0.617
O 0.967 0.597 0.120
O 0.049 0.063 0.296
O 0.467 0.403 0.380
I 0.313 0.069 0.149
O 0.413 0.668 0.883
O 0.893 0.095 0.829
O 0.501 0.370 0.869
O 0.587 0.332 0.117
```